# ErAl10Ru2 (PBE, optimized geometry)
data_ErAl10Ru2
_symmetry_space_group_name_H-M 'P 1'
_symmetry_Int_Tables_number 1
_symmetry_space_group_name_Hall 'P 1'
_cell_length_a 6.860
_cell_length_b 6.860
_cell_length_c 9.145
_cell_angle_alpha 90.00
_cell_angle_beta 90.00
_cell_angle_gamma 96.67
loop_
_atom_site_label
_atom_site_fract_x
_atom_site_fract_y
_atom_site_fract_z
Er1 0.127 0.873 0.750
Er2 0.873 0.127 0.250
Al1 0.139 0.415 0.750
Al2 0.156 0.844 0.099
Al3 0.156 0.844 0.401
Al4 0.222 0.480 0.250
Al5 0.227 0.227 0.000
Al6 0.227 0.227 0.500
Al7 0.376 0.624 0.550
Al8 0.376 0.624 0.950
Al9 0.415 0.139 0.250
Al10 0.480 0.222 0.750
Al11 0.520 0.778 0.250
Al12 0.585 0.861 0.750
Al13 0.624 0.376 0.050
Al14 0.624 0.376 0.450
Al15 0.773 0.773 0.000
Al16 0.773 0.773 0.500
Al17 0.778 0.520 0.750
Al18 0.844 0.156 0.599
Al19 0.844 0.156 0.901
Al20 0.861 0.585 0.250
Ru1 0.000 0.500 0.000
Ru2 0.000 0.500 0.500
Ru3 0.500 0.000 0.000
Ru4 0.500 0.000 0.500
# **Volume**: 427.4 Å³ per cell
# **ΔH_f (0 K)**: -511.3 meV per atom